DFT (PBE) results for crystalline Zn89Cr4Au10 at its relaxed geometry.

Computed properties:
- spin magnetization (μB/cell) = 2.2
- DFT formation energy (eV/atom) = -0.0604

Cell: 18.5382 18.5382 18.5382 Å, 90.00 90.00 90.00°
Closest atoms and distances in Å follow each position.
Space group F-43m (No. 216)
Unique sites:
Zn1 0.0000 0.0000 0.0000 x4  4 Zn 2.74
Zn2 0.0000 0.0000 0.3151 x24  10 Zn 2.68-2.95, 2 Au 2.92
Zn3 0.0250 0.1543 0.3457 x48  8 Zn 2.69-2.95, 2 Au 2.71-2.72
Zn4 0.0259 0.1885 0.8115 x48  1 Cr 2.51, 1 Au 2.53, 5 Zn 2.67-2.73
Zn5 0.0481 0.0481 0.8472 x48  6 Zn 2.52-2.76, 1 Cr 2.65
Zn6 0.0535 0.0535 0.4465 x16  9 Zn 2.69-2.81, 3 Au 2.75
Zn7 0.0826 0.0826 0.2296 x48  10 Zn 2.67-2.96
Zn8 0.0854 0.0854 0.0854 x16  10 Zn 2.67-2.86
Zn9 0.1084 0.1084 0.7250 x48  1 Cr 2.57, 1 Au 2.61, 5 Zn 2.67-2.76
Zn10 0.1450 0.2500 0.7500 x24  2 Cr 2.65, 10 Zn 2.73-2.75
Zn11 0.1707 0.1707 0.3293 x16  3 Au 2.68, 9 Zn 2.73-2.96
Zn12 0.1803 0.1803 0.1803 x16  3 Au 2.61, 6 Zn 2.72-2.78
Cr1 0.1491 0.1491 0.8509 x16  12 Zn 2.51-2.65
Au1 0.0795 0.2500 0.2500 x24  8 Zn 2.53-2.71
Au2 0.0872 0.0872 0.5872 x16  12 Zn 2.61-2.92